The following is a DFT calculation (GGA+U) of a geometry-optimized Li5V3P8O29 structure.

Calculated values
Excess energy over the best structure of this formula in the dataset   19 kJ/mol of formula units

CIF file:
```
data_Li5V3P8O29
_chemical_formula_sum 'Li20 V12 P32 O116'
_cell_length_a 16.9754
_cell_length_b 9.8173
_cell_length_c 13.9153
_cell_angle_alpha 90.00
_cell_angle_beta 90.08
_cell_angle_gamma 90.00
_space_group_name_H-M_alt 'C 1 2 1'
_space_group_IT_number 5
_space_group_name_Hall 'C 2y'
loop_
_atom_site_label
_atom_site_type_symbol
_atom_site_fract_x
_atom_site_fract_y
_atom_site_fract_z
Li1 Li 0.0472 0.0000 0.1919
Li2 Li 0.1132 0.4859 0.1930
Li3 Li 0.1148 0.0660 0.6874
Li4 Li 0.1590 0.3451 0.8091
Li5 Li 0.1617 0.2108 0.3126
V1 V 0.0000 0.7030 0.5000
V2 V 0.0000 0.8387 0.0000
V3 V 0.2157 0.4920 0.9994
V4 V 0.2169 0.0591 0.4980
P1 P 0.0420 0.5478 0.9057
P2 P 0.0432 0.9992 0.4076
P3 P 0.1152 0.4794 0.4090
P4 P 0.1155 0.0711 0.9079
P5 P 0.1588 0.3466 0.5928
P6 P 0.1596 0.2038 0.0919
P7 P 0.1654 0.7775 0.6229
P8 P 0.1668 0.7753 0.1229
O1 O 0.0000 0.0665 0.5000
O2 O 0.0000 0.4845 0.0000
O3 O 0.0014 0.0336 0.6822
O4 O 0.0037 0.5147 0.1811
O5 O 0.0404 0.9799 0.9102
O6 O 0.0416 0.5727 0.4137
O7 O 0.0473 0.7052 0.9268
O8 O 0.0474 0.8450 0.4255
O9 O 0.0920 0.7028 0.5752
O10 O 0.0917 0.8556 0.0796
O11 O 0.1044 0.1709 0.9999
O12 O 0.1046 0.3789 0.5002
O13 O 0.1192 0.1546 0.8176
O14 O 0.1188 0.3960 0.3187
O15 O 0.1205 0.1545 0.1822
O16 O 0.1223 0.3906 0.6842
O17 O 0.1255 0.0660 0.4069
O18 O 0.1259 0.4864 0.9084
O19 O 0.1624 0.6263 0.0828
O20 O 0.1627 0.9277 0.5829
O21 O 0.1644 0.7770 0.7299
O22 O 0.1639 0.7800 0.2300
O23 O 0.1682 0.3610 0.0907
O24 O 0.1691 0.1891 0.5878
O25 O 0.1894 0.5645 0.4250
O26 O 0.1896 0.9859 0.9259
O27 O 0.2395 0.4174 0.5735
O28 O 0.2399 0.1344 0.0744
O29 O 0.2426 0.7056 0.5841
O30 O 0.2434 0.8455 0.0826
```



The following is a DFT calculation (GGA+U) of a geometry-optimized Li5V3P8O29 structure.

Calculated values
Excess energy over the best structure of this formula in the dataset   8 kJ/mol of formula units

CIF file:
```
data_Li5V3P8O29
_chemical_formula_sum 'Li10 V6 P16 O58'
_cell_length_a 9.7343
_cell_length_b 9.7667
_cell_length_c 14.1412
_cell_angle_alpha 89.65
_cell_angle_beta 89.91
_cell_angle_gamma 60.23
_space_group_name_H-M_alt 'P 1'
_space_group_IT_number 1
_space_group_name_Hall 'P 1'
loop_
_atom_site_label
_atom_site_type_symbol
_atom_site_fract_x
_atom_site_fract_y
_atom_site_fract_z
Li1 Li 0.0000 0.0000 0.0000
Li2 Li 0.0003 0.1366 0.5021
Li3 Li 0.2251 0.6696 0.8838
Li4 Li 0.2278 0.2436 0.3779
Li5 Li 0.3258 0.9811 0.9499
Li6 Li 0.3281 0.8998 0.4375
Li7 Li 0.4315 0.5621 0.4941
Li8 Li 0.5651 0.5725 0.9971
Li9 Li 0.6583 0.8112 0.8720
Li10 Li 0.6606 0.6686 0.3779
V1 V 0.3285 0.4665 0.6877
V2 V 0.3329 0.3334 0.1854
V3 V 0.7636 0.9048 0.6819
V4 V 0.7665 0.4688 0.1879
V5 V 0.8947 0.9012 0.1905
V6 V 0.8992 0.3329 0.6918
P1 P 0.0016 0.5648 0.3049
P2 P 0.0134 0.1302 0.2813
P3 P 0.0164 0.9856 0.7813
P4 P 0.1096 0.2094 0.0997
P5 P 0.1149 0.8185 0.5980
P6 P 0.2434 0.6765 0.0992
P7 P 0.2437 0.2153 0.5909
P8 P 0.4140 0.1236 0.7746
P9 P 0.4178 0.5891 0.2818
P10 P 0.5459 0.9843 0.2753
P11 P 0.5552 0.5863 0.7802
P12 P 0.6409 0.8187 0.0908
P13 P 0.6444 0.6731 0.5981
P14 P 0.6593 0.2428 0.5706
P15 P 0.6629 0.2397 0.0686
P16 P 0.9973 0.5719 0.8044
O1 O 0.0039 0.4213 0.7649
O2 O 0.0085 0.7071 0.2606
O3 O 0.0121 0.5460 0.4099
O4 O 0.0198 0.5797 0.9082
O5 O 0.0739 0.2420 0.5996
O6 O 0.0751 0.8209 0.0981
O7 O 0.0935 0.9071 0.8736
O8 O 0.0951 0.1279 0.3723
O9 O 0.1287 0.1006 0.0201
O10 O 0.1314 0.1112 0.1971
O11 O 0.1367 0.8877 0.6980
O12 O 0.1393 0.9095 0.5202
O13 O 0.1419 0.5805 0.7545
O14 O 0.1451 0.4105 0.2603
O15 O 0.2400 0.5208 0.1141
O16 O 0.2449 0.3726 0.6088
O17 O 0.2504 0.2420 0.1024
O18 O 0.2550 0.6442 0.5981
O19 O 0.3150 0.1396 0.4987
O20 O 0.3230 0.1175 0.8566
O21 O 0.3295 0.6985 0.1900
O22 O 0.3318 0.6709 0.0102
O23 O 0.3412 0.1013 0.6769
O24 O 0.3421 0.6741 0.3714
O25 O 0.4052 0.5670 0.7798
O26 O 0.4069 0.1587 0.2756
O27 O 0.4095 0.2856 0.7625
O28 O 0.4136 0.4345 0.2663
O29 O 0.5168 0.3949 0.6210
O30 O 0.5177 0.2352 0.1198
O31 O 0.5234 0.9149 0.1756
O32 O 0.5238 0.8933 0.3538
O33 O 0.5326 0.6956 0.6881
O34 O 0.5551 0.6744 0.8676
O35 O 0.5563 0.6786 0.5089
O36 O 0.5594 0.8883 0.9986
O37 O 0.5866 0.9857 0.7743
O38 O 0.5888 0.5615 0.2769
O39 O 0.6333 0.2760 0.4669
O40 O 0.6479 0.2453 0.9638
O41 O 0.6513 0.0993 0.6105
O42 O 0.6524 0.3938 0.1081
O43 O 0.6718 0.6467 0.0997
O44 O 0.6760 0.8128 0.6019
O45 O 0.7052 0.9796 0.2696
O46 O 0.7058 0.4284 0.7667
O47 O 0.7967 0.8208 0.1075
O48 O 0.7992 0.5164 0.6117
O49 O 0.8164 0.0921 0.1062
O50 O 0.8191 0.2282 0.6051
O51 O 0.8412 0.7175 0.7675
O52 O 0.8429 0.5771 0.2674
O53 O 0.8567 0.2852 0.2652
O54 O 0.8595 0.9878 0.7631
O55 O 0.9515 0.3624 0.1052
O56 O 0.9545 0.8260 0.6020
O57 O 0.9834 0.9896 0.2726
O58 O 0.9886 0.1552 0.7733
```



| no. | total energy after the MP2020 corrections (eV per atom) | spin magnetization (Bohr magnetons per cell) | E_form (eV per atom) |
| --- | --- | --- | --- |
| 1 | -7.59 | 8.00 | -2.62 |
| 2 | -7.59 | 4.00 | -2.62 |